No. 1
VASP calculation (PBE+U) on an optimized crystal structure of CaEuYVO6.

## Properties
MP2020-corrected energy	-88.315	eV/cell
E	-8.25	eV/atom
crystal system	cubic

Cell and atoms, written as extended XYZ:
```
10
Lattice="0.000 4.077 4.077 4.077 0.000 4.077 4.077 4.077 0.000" Properties=species:S:1:pos:R:3 pbc="T T T"
Ca 0.000 0.000 0.000
Eu 4.077 4.077 4.077
Y 2.038 2.038 2.038
V 6.115 6.115 6.115
O 6.115 6.115 4.223
O 6.115 4.223 6.115
O 8.007 6.115 6.115
O 4.223 6.115 6.115
O 6.115 8.007 6.115
O 6.115 6.115 8.007
```

No. 2
VASP calculation (PBE+U) on an optimized crystal structure of CaEuZrVO6.

## Properties
MP2020-corrected energy	-91.396	eV/cell
E	-8.56	eV/atom
crystal system	cubic

Cell and atoms, written as extended XYZ:
```
10
Lattice="0.000 4.016 4.016 4.016 0.000 4.016 4.016 4.016 0.000" Properties=species:S:1:pos:R:3 pbc="T T T"
Ca 0.000 0.000 0.000
Eu 4.016 4.016 4.016
Zr 6.024 6.024 6.024
V 2.008 2.008 2.008
O 2.008 2.008 0.067
O 2.008 0.067 2.008
O 3.949 2.008 2.008
O 0.067 2.008 2.008
O 2.008 3.949 2.008
O 2.008 2.008 3.949
```

No. 3
VASP calculation (PBE+U) on an optimized crystal structure of CaEuZrWO6.

## Properties
MP2020-corrected energy	-93.030	eV/cell
E	-8.45	eV/atom
crystal system	cubic

Cell and atoms, written as extended XYZ:
```
10
Lattice="0.000 4.116 4.116 4.116 0.000 4.116 4.116 4.116 0.000" Properties=species:S:1:pos:R:3 pbc="T T T"
Ca 0.000 0.000 0.000
Eu 4.116 4.116 4.116
Zr 6.173 6.173 6.173
W 2.058 2.058 2.058
O 2.058 2.058 0.023
O 2.058 0.023 2.058
O 4.093 2.058 2.058
O 0.023 2.058 2.058
O 2.058 4.093 2.058
O 2.058 2.058 4.093
```

Q: Which value of E does entry 3 give?
A: -8.45 eV/atom